Record 1
First-principles (PBE-GGA) data for a relaxed Cs2TiP2O8 crystal, as listed in the Materials Project database.

Properties
Magnetization ... 0.0 Bohr magnetons per cell
Calculated volume ... 246 Å³/f.u.
E ... -369.00 eV per cell
Formation enthalpy at 0 K ... -2.8961 eV per atom

Cell: 7.379 9.647 13.820 Å, 90.00 90.00 90.00°
Element x y z (fractional)
O: 0.934 0.405 0.782
O: 0.062 0.165 0.790
O: 0.750 0.297 0.348
O: 0.750 0.448 0.598
O: 0.250 0.552 0.402
O: 0.938 0.835 0.210
O: 0.566 0.095 0.282
O: 0.985 0.695 0.053
O: 0.015 0.195 0.447
O: 0.066 0.905 0.718
O: 0.562 0.665 0.710
O: 0.750 0.203 0.848
O: 0.250 0.703 0.652
O: 0.250 0.948 0.902
O: 0.062 0.335 0.290
O: 0.485 0.305 0.947
O: 0.566 0.405 0.782
O: 0.562 0.835 0.210
O: 0.434 0.905 0.718
O: 0.066 0.595 0.218
O: 0.515 0.695 0.053
O: 0.485 0.195 0.447
O: 0.438 0.165 0.790
O: 0.750 0.052 0.098
O: 0.434 0.595 0.218
O: 0.985 0.805 0.553
O: 0.938 0.665 0.710
O: 0.934 0.095 0.282
O: 0.515 0.805 0.553
O: 0.438 0.335 0.290
O: 0.250 0.797 0.152
O: 0.015 0.305 0.947
Cs: 0.250 0.373 0.584
Cs: 0.250 0.127 0.084
Cs: 0.750 0.873 0.916
Cs: 0.750 0.408 0.103
Cs: 0.250 0.908 0.397
Cs: 0.250 0.592 0.897
Cs: 0.750 0.092 0.603
Cs: 0.750 0.627 0.416
P: 0.452 0.726 0.154
P: 0.548 0.226 0.346
P: 0.952 0.226 0.346
P: 0.548 0.274 0.846
P: 0.952 0.274 0.846
P: 0.452 0.774 0.654
P: 0.048 0.774 0.654
P: 0.048 0.726 0.154
Ti: 0.250 0.483 0.291
Ti: 0.750 0.983 0.209
Ti: 0.250 0.017 0.791
Ti: 0.750 0.517 0.709

Record 2
First-principles (PBE-GGA) data for a relaxed CsU2P4O16 crystal, as listed in the Materials Project database.

Properties
Magnetization ... 1.8 Bohr magnetons per cell
Calculated volume ... 341 Å³/f.u.
E ... -359.45 eV per cell
Formation enthalpy at 0 K ... -2.8878 eV per atom

Cell: 15.289 15.289 6.972 Å, 81.58 81.58 25.04°
Element x y z (fractional)
U: 0.673 0.987 0.213
U: 0.013 0.327 0.287
U: 0.987 0.673 0.713
U: 0.327 0.013 0.787
P: 0.890 0.276 0.667
P: 0.110 0.724 0.333
P: 0.276 0.890 0.167
P: 0.105 0.485 0.236
P: 0.895 0.515 0.764
P: 0.724 0.110 0.833
P: 0.515 0.895 0.264
P: 0.485 0.105 0.736
O: 0.596 0.915 0.284
O: 0.004 0.635 0.061
O: 0.977 0.625 0.412
O: 0.068 0.846 0.411
O: 0.118 0.112 0.221
O: 0.396 0.842 0.981
O: 0.932 0.154 0.589
O: 0.604 0.158 0.019
O: 0.733 0.427 0.824
O: 0.846 0.068 0.911
O: 0.625 0.977 0.912
O: 0.404 0.085 0.716
O: 0.882 0.888 0.779
O: 0.365 0.996 0.439
O: 0.112 0.118 0.721
O: 0.704 0.664 0.247
O: 0.154 0.932 0.089
O: 0.427 0.733 0.324
O: 0.664 0.704 0.747
O: 0.158 0.604 0.519
O: 0.375 0.023 0.088
O: 0.888 0.882 0.279
O: 0.635 0.004 0.561
O: 0.842 0.396 0.481
O: 0.267 0.573 0.176
O: 0.296 0.336 0.753
O: 0.085 0.404 0.216
O: 0.996 0.365 0.939
O: 0.336 0.296 0.253
O: 0.573 0.267 0.676
O: 0.915 0.596 0.784
O: 0.023 0.375 0.588
Cs: 0.289 0.711 0.750
Cs: 0.711 0.289 0.250

Record 3
First-principles (PBE-GGA) data for a relaxed CsUP3O11 crystal, as listed in the Materials Project database.

Properties
Magnetization ... 0.0 Bohr magnetons per cell
Calculated volume ... 260 Å³/f.u.
E ... -487.72 eV per cell
Formation enthalpy at 0 K ... -2.9145 eV per atom

Cell: 11.140 7.128 13.661 Å, 73.85 90.00 90.00°
Element x y z (fractional)
O: 0.495 0.259 0.365
O: 0.117 0.239 0.025
O: 0.348 0.752 0.496
O: 0.848 0.248 0.004
O: 0.678 0.501 0.639
O: 0.152 0.752 0.996
O: 0.883 0.761 0.975
O: 0.322 0.499 0.361
O: 0.214 0.739 0.180
O: 0.188 0.106 0.203
O: 0.585 0.102 0.731
O: 0.878 0.216 0.616
O: 0.819 0.636 0.426
O: 0.122 0.784 0.384
O: 0.915 0.102 0.231
O: 0.822 0.501 0.139
O: 0.714 0.261 0.320
O: 0.718 0.863 0.618
O: 0.995 0.741 0.135
O: 0.681 0.636 0.926
O: 0.617 0.761 0.475
O: 0.812 0.894 0.797
O: 0.652 0.248 0.504
O: 0.415 0.898 0.269
O: 0.005 0.259 0.865
O: 0.181 0.364 0.574
O: 0.282 0.137 0.382
O: 0.383 0.239 0.525
O: 0.218 0.137 0.882
O: 0.116 0.446 0.145
O: 0.622 0.216 0.116
O: 0.085 0.898 0.769
O: 0.286 0.739 0.680
O: 0.312 0.106 0.703
O: 0.786 0.261 0.820
O: 0.178 0.499 0.861
O: 0.378 0.784 0.884
O: 0.505 0.741 0.635
O: 0.688 0.894 0.297
O: 0.782 0.863 0.118
O: 0.384 0.446 0.645
O: 0.884 0.554 0.855
O: 0.319 0.364 0.074
O: 0.616 0.554 0.355
U: 0.231 0.844 0.827
U: 0.269 0.844 0.327
U: 0.731 0.156 0.673
U: 0.769 0.156 0.173
P: 0.200 0.284 0.114
P: 0.300 0.284 0.614
P: 0.139 0.291 0.905
P: 0.700 0.716 0.386
P: 0.372 0.680 0.608
P: 0.128 0.680 0.108
P: 0.872 0.320 0.892
P: 0.639 0.709 0.595
P: 0.800 0.716 0.886
P: 0.361 0.291 0.405
P: 0.628 0.320 0.392
P: 0.861 0.709 0.095
Cs: 0.005 0.336 0.389
Cs: 0.995 0.664 0.611
Cs: 0.505 0.664 0.111
Cs: 0.495 0.336 0.889

Record 4
First-principles (PBE-GGA) data for a relaxed Cs3U2PO10 crystal, as listed in the Materials Project database.

Properties
Magnetization ... 0.0 Bohr magnetons per cell
Calculated volume ... 327 Å³/f.u.
E ... -247.00 eV per cell
Formation enthalpy at 0 K ... -3.1380 eV per atom

Cell: 8.038 8.038 12.597 Å, 69.24 69.24 62.01°
Element x y z (fractional)
O: 0.246 0.566 0.333
O: 0.238 0.900 0.542
O: 0.762 0.100 0.458
O: 0.684 0.796 0.928
O: 0.169 0.915 0.324
O: 0.085 0.831 0.176
O: 0.831 0.085 0.676
O: 0.915 0.169 0.824
O: 0.566 0.246 0.833
O: 0.434 0.754 0.167
O: 0.991 0.715 0.568
O: 0.316 0.204 0.072
O: 0.204 0.316 0.572
O: 0.754 0.434 0.667
O: 0.900 0.238 0.042
O: 0.009 0.285 0.432
O: 0.796 0.684 0.428
O: 0.285 0.009 0.932
O: 0.715 0.991 0.068
O: 0.100 0.762 0.958
Cs: 0.914 0.486 0.183
Cs: 0.500 0.500 0.500
Cs: 0.500 0.500 0.000
Cs: 0.514 0.086 0.317
Cs: 0.086 0.514 0.817
Cs: 0.486 0.914 0.683
P: 0.768 0.232 0.750
P: 0.232 0.768 0.250
U: 0.000 0.500 0.500
U: 0.000 0.000 0.000
U: 0.000 0.000 0.500
U: 0.500 0.000 0.000

Record 5
First-principles (PBE-GGA) data for a relaxed CsYP4O12 crystal, as listed in the Materials Project database.

Properties
Magnetization ... 0.0 Bohr magnetons per cell
Calculated volume ... 255 Å³/f.u.
E ... -530.52 eV per cell
Formation enthalpy at 0 K ... -2.9157 eV per atom

Cell: 8.985 10.459 13.009 Å, 56.52 90.00 90.00°
Element x y z (fractional)
Y: 0.774 0.816 0.181
Y: 0.726 0.816 0.681
Y: 0.274 0.184 0.319
Y: 0.226 0.184 0.819
P: 0.410 0.890 0.257
P: 0.673 0.171 0.369
P: 0.173 0.829 0.131
P: 0.971 0.467 0.788
P: 0.110 0.299 0.027
P: 0.890 0.701 0.973
P: 0.327 0.829 0.631
P: 0.471 0.533 0.712
P: 0.029 0.533 0.212
P: 0.827 0.171 0.869
P: 0.529 0.467 0.288
P: 0.910 0.110 0.243
P: 0.090 0.890 0.757
P: 0.590 0.110 0.743
P: 0.610 0.701 0.473
P: 0.390 0.299 0.527
O: 0.456 0.455 0.408
O: 0.327 0.022 0.245
O: 0.757 0.067 0.993
O: 0.673 0.978 0.755
O: 0.340 0.661 0.651
O: 0.417 0.420 0.228
O: 0.257 0.933 0.507
O: 0.660 0.339 0.349
O: 0.470 0.871 0.664
O: 0.713 0.665 0.401
O: 0.903 0.622 0.709
O: 0.917 0.580 0.272
O: 0.970 0.129 0.836
O: 0.083 0.420 0.728
O: 0.403 0.378 0.791
O: 0.453 0.770 0.399
O: 0.207 0.784 0.740
O: 0.831 0.798 0.016
O: 0.707 0.216 0.760
O: 0.530 0.129 0.336
O: 0.044 0.455 0.908
O: 0.840 0.339 0.849
O: 0.287 0.335 0.599
O: 0.583 0.580 0.772
O: 0.456 0.078 0.824
O: 0.173 0.022 0.745
O: 0.331 0.202 0.484
O: 0.743 0.067 0.493
O: 0.243 0.933 0.007
O: 0.544 0.922 0.176
O: 0.827 0.978 0.255
O: 0.793 0.216 0.260
O: 0.293 0.784 0.240
O: 0.787 0.665 0.901
O: 0.953 0.230 0.101
O: 0.669 0.798 0.516
O: 0.956 0.922 0.676
O: 0.047 0.770 0.899
O: 0.097 0.378 0.291
O: 0.044 0.078 0.324
O: 0.169 0.202 0.984
O: 0.956 0.545 0.092
O: 0.030 0.871 0.164
O: 0.160 0.661 0.151
O: 0.547 0.230 0.601
O: 0.544 0.545 0.592
O: 0.597 0.622 0.209
O: 0.213 0.335 0.099
Cs: 0.066 0.720 0.461
Cs: 0.934 0.280 0.539
Cs: 0.566 0.280 0.039
Cs: 0.434 0.720 0.961

Record 6
First-principles (PBE-GGA) data for a relaxed CsYP2O7 crystal, as listed in the Materials Project database.

Properties
Magnetization ... 0.0 Bohr magnetons per cell
Calculated volume ... 191 Å³/f.u.
E ... -330.34 eV per cell
Formation enthalpy at 0 K ... -3.1428 eV per atom

Cell: 11.051 8.028 8.899 Å, 75.68 90.00 90.00°
Element x y z (fractional)
O: 0.236 0.438 0.775
O: 0.496 0.003 0.771
O: 0.071 0.606 0.269
O: 0.996 0.997 0.729
O: 0.774 0.915 0.761
O: 0.764 0.562 0.225
O: 0.939 0.683 0.790
O: 0.571 0.394 0.231
O: 0.104 0.334 0.486
O: 0.004 0.003 0.271
O: 0.415 0.154 0.505
O: 0.264 0.438 0.275
O: 0.929 0.394 0.731
O: 0.726 0.915 0.261
O: 0.226 0.085 0.239
O: 0.585 0.846 0.495
O: 0.429 0.606 0.769
O: 0.061 0.317 0.210
O: 0.439 0.317 0.710
O: 0.274 0.085 0.739
O: 0.396 0.334 0.986
O: 0.915 0.846 0.995
O: 0.085 0.154 0.005
O: 0.504 0.997 0.229
O: 0.604 0.666 0.014
O: 0.736 0.562 0.725
O: 0.561 0.683 0.290
O: 0.896 0.666 0.514
P: 0.630 0.573 0.183
P: 0.404 0.131 0.678
P: 0.096 0.131 0.178
P: 0.370 0.427 0.817
P: 0.130 0.427 0.317
P: 0.904 0.869 0.822
P: 0.870 0.573 0.683
P: 0.596 0.869 0.322
Y: 0.401 0.237 0.247
Y: 0.901 0.763 0.253
Y: 0.599 0.763 0.753
Y: 0.099 0.237 0.747
Cs: 0.191 0.800 0.552
Cs: 0.691 0.200 0.948
Cs: 0.309 0.800 0.052
Cs: 0.809 0.200 0.448

Record 7
First-principles (PBE-GGA) data for a relaxed Cs3YP2O8 crystal, as listed in the Materials Project database.

Properties
Magnetization ... 0.0 Bohr magnetons per cell
Calculated volume ... 279 Å³/f.u.
E ... -381.76 eV per cell
Formation enthalpy at 0 K ... -2.9552 eV per atom

Cell: 10.530 10.370 10.731 Å, 72.50 90.00 90.00°
Element x y z (fractional)
O: 0.595 0.707 0.307
O: 0.162 0.022 0.208
O: 0.623 0.495 0.500
O: 0.474 0.734 0.753
O: 0.507 0.221 0.518
O: 0.998 0.857 0.160
O: 0.709 0.230 0.755
O: 0.512 0.480 0.790
O: 0.209 0.770 0.245
O: 0.012 0.520 0.210
O: 0.974 0.266 0.247
O: 0.498 0.143 0.840
O: 0.873 0.889 0.622
O: 0.123 0.505 0.500
O: 0.007 0.779 0.482
O: 0.061 0.011 0.498
O: 0.187 0.278 0.479
O: 0.685 0.637 0.830
O: 0.662 0.978 0.792
O: 0.095 0.293 0.693
O: 0.315 0.387 0.621
O: 0.195 0.939 0.013
O: 0.185 0.363 0.170
O: 0.096 0.803 0.695
O: 0.495 0.567 0.987
O: 0.373 0.111 0.378
O: 0.596 0.197 0.305
O: 0.815 0.613 0.379
O: 0.561 0.989 0.502
O: 0.687 0.722 0.521
O: 0.695 0.061 0.987
O: 0.995 0.433 0.013
Cs: 0.463 0.965 0.165
Cs: 0.251 0.275 0.935
Cs: 0.212 0.668 0.955
Cs: 0.832 0.279 0.481
Cs: 0.313 0.010 0.705
Cs: 0.332 0.721 0.519
Cs: 0.712 0.332 0.045
Cs: 0.414 0.478 0.278
Cs: 0.914 0.522 0.722
Cs: 0.963 0.035 0.835
Cs: 0.751 0.725 0.065
Cs: 0.813 0.990 0.295
P: 0.642 0.099 0.847
P: 0.142 0.901 0.153
P: 0.678 0.637 0.425
P: 0.511 0.132 0.424
P: 0.178 0.363 0.575
P: 0.038 0.398 0.156
P: 0.538 0.602 0.844
P: 0.011 0.868 0.576
Y: 0.522 0.344 0.661
Y: 0.022 0.656 0.339
Y: 0.166 0.158 0.339
Y: 0.666 0.842 0.661

Record 8
First-principles (PBE-GGA) data for a relaxed CsZn3P3O12 crystal, as listed in the Materials Project database.

Properties
Magnetization ... 4.0 Bohr magnetons per cell
Calculated volume ... 310 Å³/f.u.
E ... -230.25 eV per cell
Formation enthalpy at 0 K ... -2.2674 eV per atom

Cell: 5.269 8.203 15.155 Å, 95.32 89.98 108.19°
Element x y z (fractional)
Zn: 0.125 0.822 0.951
Zn: 0.866 0.167 0.426
Zn: 0.488 0.420 0.138
Zn: 0.875 0.178 0.049
Zn: 0.134 0.833 0.574
Zn: 0.512 0.580 0.862
O: 0.790 0.202 0.305
O: 0.429 0.411 0.603
O: 0.210 0.798 0.695
O: 0.218 0.325 0.225
O: 0.671 0.225 0.526
O: 0.648 0.205 0.955
O: 0.782 0.675 0.775
O: 0.732 0.704 0.972
O: 0.629 0.664 0.136
O: 0.352 0.795 0.045
O: 0.268 0.296 0.028
O: 0.773 0.311 0.156
O: 0.017 0.474 0.710
O: 0.750 0.749 0.546
O: 0.227 0.689 0.844
O: 0.155 0.044 0.911
O: 0.983 0.526 0.290
O: 0.371 0.336 0.864
O: 0.329 0.775 0.474
O: 0.250 0.251 0.454
O: 0.845 0.956 0.089
O: 0.571 0.589 0.397
O: 0.780 0.911 0.409
O: 0.220 0.089 0.591
Cs: 0.790 0.094 0.745
Cs: 0.210 0.906 0.255
P: 0.390 0.241 0.542
P: 0.941 0.343 0.246
P: 0.059 0.657 0.754
P: 0.368 0.220 0.939
P: 0.632 0.780 0.061
P: 0.610 0.759 0.458